# 1
# Hf54Os17

An optimized crystal structure of Hf54Os17 (GGA-PBE, Materials Project).

Lattice parameters (Å, degrees): 12.312 12.312 12.312 111.40 109.88 107.16
Element x y z (fractional)
Hf  0.032  0.098  0.701
Hf  0.032  0.331  0.934
Hf  0.078  0.202  0.492
Hf  0.078  0.585  0.876
Hf  0.107  0.500  0.607
Hf  0.108  0.126  0.234
Hf  0.108  0.874  0.982
Hf  0.145  0.145  0.000
Hf  0.166  0.565  0.399
Hf  0.166  0.767  0.601
Hf  0.209  0.015  0.580
Hf  0.209  0.628  0.194
Hf  0.211  0.399  0.812
Hf  0.226  0.904  0.322
Hf  0.291  0.415  0.492
Hf  0.291  0.798  0.876
Hf  0.330  0.221  0.891
Hf  0.330  0.438  0.109
Hf  0.392  0.321  0.713
Hf  0.392  0.679  0.071
Hf  0.397  0.098  0.066
Hf  0.397  0.331  0.299
Hf  0.413  0.601  0.812
Hf  0.417  0.096  0.322
Hf  0.435  0.015  0.806
Hf  0.435  0.628  0.420
Hf  0.500  0.110  0.610
Hf  0.500  0.890  0.390
Hf  0.565  0.372  0.580
Hf  0.565  0.985  0.194
Hf  0.583  0.904  0.678
Hf  0.587  0.399  0.188
Hf  0.603  0.669  0.701
Hf  0.603  0.902  0.934
Hf  0.608  0.321  0.929
Hf  0.608  0.679  0.287
Hf  0.670  0.562  0.891
Hf  0.670  0.779  0.109
Hf  0.709  0.202  0.124
Hf  0.709  0.585  0.508
Hf  0.774  0.096  0.678
Hf  0.789  0.601  0.188
Hf  0.791  0.372  0.806
Hf  0.791  0.985  0.420
Hf  0.834  0.233  0.399
Hf  0.834  0.435  0.601
Hf  0.855  0.855  0.000
Hf  0.892  0.126  0.018
Hf  0.892  0.874  0.766
Hf  0.893  0.500  0.393
Hf  0.922  0.415  0.124
Hf  0.922  0.798  0.508
Hf  0.968  0.669  0.066
Hf  0.968  0.902  0.299
Os  0.000  0.310  0.310
Os  0.000  0.690  0.690
Os  0.049  0.716  0.332
Os  0.165  0.364  0.199
Os  0.165  0.966  0.801
Os  0.288  0.171  0.459
Os  0.288  0.829  0.117
Os  0.337  0.837  0.500
Os  0.384  0.716  0.668
Os  0.500  0.500  0.000
Os  0.616  0.284  0.332
Os  0.663  0.163  0.500
Os  0.712  0.171  0.883
Os  0.712  0.829  0.541
Os  0.835  0.034  0.199
Os  0.835  0.636  0.801
Os  0.951  0.284  0.668

Summary:
* density: 14.9 g/cm3
* electronic total energy: -10.58 eV/atom

***

# 2
# Hf2Os

An optimized crystal structure of Hf2Os (GGA-PBE, Materials Project).

Lattice parameters (Å, degrees): 8.736 8.736 8.736 60.00 60.00 60.00
Element x y z (fractional)
Hf  0.000  0.000  0.000
Hf  0.000  0.000  0.500
Hf  0.000  0.500  0.000
Hf  0.186  0.186  0.564
Hf  0.186  0.564  0.186
Hf  0.186  0.564  0.564
Hf  0.436  0.436  0.814
Hf  0.436  0.814  0.436
Hf  0.436  0.814  0.814
Hf  0.500  0.000  0.000
Hf  0.564  0.186  0.186
Hf  0.564  0.186  0.564
Hf  0.564  0.564  0.186
Hf  0.814  0.436  0.436
Hf  0.814  0.436  0.814
Hf  0.814  0.814  0.436
Os  0.144  0.785  0.785
Os  0.215  0.215  0.215
Os  0.215  0.215  0.856
Os  0.215  0.856  0.215
Os  0.785  0.144  0.785
Os  0.785  0.785  0.144
Os  0.785  0.785  0.785
Os  0.856  0.215  0.215

Summary:
* density: 15.4 g/cm3
* electronic total energy: -10.81 eV/atom

***

Ordered formation enthalpy at 0 K results: -0.32 -0.43; unit eV per atom.